# 1
The following is a PBE+U calculation of a relaxed structure of Co3Cu3Te2O16, from Materials Project.

ΔE_f: -1.066 eV/atom
Energy: -5.365 eV/atom

```
data_Co3Cu3Te2O16
_chemical_formula_sum 'Co3 Cu3 Te2 O16'
_cell_length_a 5.737
_cell_length_b 5.826
_cell_length_c 9.204
_cell_angle_alpha 92.67
_cell_angle_beta 90.05
_cell_angle_gamma 118.98
_symmetry_space_group_name_H-M 'P 1'
_symmetry_Int_Tables_number 1
loop_
_symmetry_equiv_pos_as_xyz
'x,y,z'
loop_
_atom_site_label
_atom_site_type_symbol
_atom_site_fract_x
_atom_site_fract_y
_atom_site_fract_z
Co1 Co 0.000 0.000 0.000
Co2 Co 0.169 0.828 0.500
Co3 Co 0.505 0.995 0.003
Cu1 Cu 0.165 0.329 0.501
Cu2 Cu 0.506 0.503 0.001
Cu3 Cu 0.669 0.332 0.501
Te1 Te 0.016 0.518 0.225
Te2 Te 0.675 0.828 0.725
O1 O 0.001 0.992 0.621
O2 O 0.008 0.517 0.592
O3 O 0.169 0.332 0.122
O4 O 0.182 0.846 0.112
O5 O 0.318 0.673 0.370
O6 O 0.330 0.147 0.409
O7 O 0.331 0.155 0.908
O8 O 0.376 0.688 0.873
O9 O 0.494 0.981 0.628
O10 O 0.496 0.479 0.622
O11 O 0.666 0.336 0.116
O12 O 0.680 0.846 0.099
O13 O 0.820 0.129 0.882
O14 O 0.841 0.697 0.869
O15 O 0.852 0.216 0.365
O16 O 0.881 0.695 0.360
```

***

# 2
The following is a PBE+U calculation of a relaxed structure of Li9Co7O16, from Materials Project.

ΔE_f: -1.729 eV/atom
Energy: -5.593 eV/atom
Offset from the most stable computed form: 27 meV per atom

```
data_Li9Co7O16
_chemical_formula_sum 'Li18 Co14 O32'
_cell_length_a 9.860
_cell_length_b 5.796
_cell_length_c 9.698
_cell_angle_alpha 90.00
_cell_angle_beta 100.32
_cell_angle_gamma 90.00
_symmetry_space_group_name_H-M 'C 1 2/m 1'
_symmetry_Int_Tables_number 12
loop_
_symmetry_equiv_pos_as_xyz
'x,y,z'
'-x,-y,-z'
'-x,y,-z'
'x,-y,z'
'x+1/2,y+1/2,z'
'-x+1/2,-y+1/2,-z'
'-x+1/2,y+1/2,-z'
'x+1/2,-y+1/2,z'
loop_
_atom_site_label
_atom_site_type_symbol
_atom_site_fract_x
_atom_site_fract_y
_atom_site_fract_z
Li1 Li 0.000 0.000 0.000
Li2 Li 0.123 0.000 0.756
Li3 Li 0.124 0.246 0.246
Li4 Li 0.125 0.500 0.756
Co1 Co 0.000 0.250 0.500
Co2 Co 0.000 0.500 0.000
Co3 Co 0.250 0.000 0.499
Co4 Co 0.250 0.250 0.000
O1 O 0.068 0.268 0.892
O2 O 0.070 0.000 0.383
O3 O 0.071 0.500 0.385
O4 O 0.183 0.249 0.618
O5 O 0.185 0.500 0.107
O6 O 0.197 0.000 0.106
```

***

# 3
The following is a PBE+U calculation of a relaxed structure of Li13Mn8O24, from Materials Project.

ΔE_f: -2.016 eV/atom
Energy: -6.173 eV/atom
Offset from the most stable computed form: 0 meV per atom

```
data_Li13Mn8O24
_chemical_formula_sum 'Li26 Mn16 O48'
_cell_length_a 5.004
_cell_length_b 8.612
_cell_length_c 19.266
_cell_angle_alpha 90.00
_cell_angle_beta 95.60
_cell_angle_gamma 90.00
_symmetry_space_group_name_H-M 'C 1 2 1'
_symmetry_Int_Tables_number 5
loop_
_symmetry_equiv_pos_as_xyz
'x,y,z'
'-x,y,-z'
'x+1/2,y+1/2,z'
'-x+1/2,y+1/2,-z'
loop_
_atom_site_label
_atom_site_type_symbol
_atom_site_fract_x
_atom_site_fract_y
_atom_site_fract_z
Li1 Li 0.000 0.000 0.000
Li2 Li 0.000 0.148 0.500
Li3 Li 0.000 0.339 0.000
Li4 Li 0.000 0.496 0.500
Li5 Li 0.000 0.844 0.500
Li6 Li 0.121 0.500 0.876
Li7 Li 0.243 0.997 0.750
Li8 Li 0.247 0.153 0.250
Li9 Li 0.247 0.839 0.250
Mn1 Mn 0.125 0.329 0.375
Mn2 Mn 0.125 0.664 0.375
Mn3 Mn 0.126 0.827 0.875
Mn4 Mn 0.130 0.162 0.875
O1 O 0.021 0.496 0.683
O2 O 0.037 0.995 0.183
O3 O 0.072 0.672 0.182
O4 O 0.073 0.317 0.181
O5 O 0.082 0.182 0.682
O6 O 0.082 0.810 0.682
O7 O 0.167 0.175 0.070
O8 O 0.167 0.310 0.568
O9 O 0.167 0.683 0.568
O10 O 0.178 0.821 0.072
O11 O 0.218 0.492 0.069
O12 O 0.227 0.996 0.567
```

***

# 4
The following is a PBE+U calculation of a relaxed structure of Sr3Ca5Fe5Co3O20, from Materials Project.

ΔE_f: -2.284 eV/atom
Energy: -6.390 eV/atom

```
data_Sr3Ca5Fe5Co3O20
_chemical_formula_sum 'Sr12 Ca20 Fe20 Co12 O80'
_cell_length_a 10.808
_cell_length_b 11.277
_cell_length_c 17.308
_cell_angle_alpha 108.96
_cell_angle_beta 108.19
_cell_angle_gamma 90.06
_symmetry_space_group_name_H-M 'P 1'
_symmetry_Int_Tables_number 1
loop_
_symmetry_equiv_pos_as_xyz
'x,y,z'
loop_
_atom_site_label
_atom_site_type_symbol
_atom_site_fract_x
_atom_site_fract_y
_atom_site_fract_z
Sr1 Sr 0.000 0.000 0.000
Sr2 Sr 0.000 0.497 0.493
Sr3 Sr 0.139 0.141 0.778
Sr4 Sr 0.145 0.636 0.778
Sr5 Sr 0.252 0.263 0.494
Sr6 Sr 0.259 0.768 0.001
Sr7 Sr 0.393 0.406 0.779
Sr8 Sr 0.394 0.904 0.776
Sr9 Sr 0.505 0.496 0.002
Sr10 Sr 0.639 0.634 0.776
Sr11 Sr 0.747 0.265 0.495
Sr12 Sr 0.888 0.908 0.778
Ca1 Ca 0.000 0.986 0.490
Ca2 Ca 0.144 0.634 0.281
Ca3 Ca 0.146 0.129 0.280
Ca4 Ca 0.247 0.769 0.489
Ca5 Ca 0.249 0.269 0.995
Ca6 Ca 0.393 0.912 0.282
Ca7 Ca 0.399 0.411 0.279
Ca8 Ca 0.497 0.989 0.492
Ca9 Ca 0.506 0.488 0.491
Ca10 Ca 0.507 0.990 0.997
Ca11 Ca 0.642 0.132 0.280
Ca12 Ca 0.642 0.133 0.781
Ca13 Ca 0.646 0.631 0.282
Ca14 Ca 0.751 0.264 0.995
Ca15 Ca 0.751 0.767 0.491
Ca16 Ca 0.751 0.770 0.997
Ca17 Ca 0.891 0.410 0.782
Ca18 Ca 0.895 0.908 0.280
Ca19 Ca 0.896 0.415 0.279
Ca20 Ca 0.997 0.487 0.995
Fe1 Fe 0.086 0.284 0.633
Fe2 Fe 0.090 0.795 0.634
Fe3 Fe 0.091 0.788 0.139
Fe4 Fe 0.093 0.295 0.137
Fe5 Fe 0.192 0.451 0.891
Fe6 Fe 0.196 0.954 0.891
Fe7 Fe 0.342 0.610 0.629
Fe8 Fe 0.343 0.611 0.143
Fe9 Fe 0.344 0.104 0.637
Fe10 Fe 0.347 0.115 0.139
Fe11 Fe 0.589 0.793 0.630
Fe12 Fe 0.595 0.288 0.637
Fe13 Fe 0.595 0.290 0.138
Fe14 Fe 0.598 0.795 0.142
Fe15 Fe 0.837 0.108 0.638
Fe16 Fe 0.838 0.611 0.636
Fe17 Fe 0.844 0.114 0.142
Fe18 Fe 0.847 0.609 0.138
Fe19 Fe 0.940 0.198 0.382
Fe20 Fe 0.945 0.701 0.892
Co1 Co 0.188 0.947 0.383
Co2 Co 0.193 0.450 0.383
Co3 Co 0.440 0.198 0.382
Co4 Co 0.441 0.699 0.386
Co5 Co 0.446 0.201 0.892
Co6 Co 0.449 0.703 0.891
Co7 Co 0.689 0.947 0.384
Co8 Co 0.690 0.449 0.383
Co9 Co 0.696 0.954 0.892
Co10 Co 0.697 0.450 0.891
Co11 Co 0.939 0.203 0.889
Co12 Co 0.939 0.700 0.383
O1 O 0.004 0.295 0.522
O2 O 0.004 0.796 0.028
O3 O 0.010 0.124 0.627
O4 O 0.015 0.640 0.636
O5 O 0.025 0.143 0.147
O6 O 0.026 0.627 0.138
O7 O 0.056 0.325 0.881
O8 O 0.060 0.819 0.372
O9 O 0.061 0.314 0.367
O10 O 0.067 0.821 0.880
O11 O 0.070 0.077 0.395
O12 O 0.074 0.580 0.899
O13 O 0.075 0.090 0.900
O14 O 0.075 0.584 0.393
O15 O 0.099 0.914 0.242
O16 O 0.106 0.398 0.746
O17 O 0.108 0.418 0.242
O18 O 0.122 0.908 0.749
O19 O 0.249 0.985 0.529
O20 O 0.252 0.489 0.523
O21 O 0.253 0.493 0.031
O22 O 0.256 0.999 0.028
O23 O 0.264 0.259 0.636
O24 O 0.264 0.765 0.626
O25 O 0.274 0.272 0.138
O26 O 0.274 0.770 0.147
O27 O 0.305 0.819 0.370
O28 O 0.312 0.324 0.883
O29 O 0.316 0.317 0.372
O30 O 0.321 0.072 0.396
O31 O 0.322 0.829 0.883
O32 O 0.326 0.579 0.897
O33 O 0.328 0.581 0.399
O34 O 0.330 0.086 0.902
O35 O 0.358 0.097 0.246
O36 O 0.360 0.596 0.250
O37 O 0.367 0.605 0.740
O38 O 0.370 0.105 0.749
O39 O 0.492 0.804 0.522
O40 O 0.499 0.297 0.030
O41 O 0.510 0.303 0.527
O42 O 0.512 0.806 0.034
O43 O 0.519 0.632 0.627
O44 O 0.523 0.128 0.635
O45 O 0.523 0.641 0.147
O46 O 0.527 0.131 0.140
O47 O 0.557 0.814 0.374
O48 O 0.562 0.318 0.369
O49 O 0.563 0.310 0.880
O50 O 0.566 0.082 0.395
O51 O 0.572 0.823 0.883
O52 O 0.577 0.582 0.401
O53 O 0.580 0.082 0.906
O54 O 0.582 0.579 0.900
O55 O 0.604 0.416 0.242
O56 O 0.607 0.918 0.247
O57 O 0.615 0.404 0.747
O58 O 0.615 0.911 0.743
O59 O 0.739 0.988 0.532
O60 O 0.750 0.491 0.529
O61 O 0.759 0.484 0.030
O62 O 0.759 0.991 0.033
O63 O 0.766 0.767 0.629
O64 O 0.775 0.271 0.139
O65 O 0.776 0.271 0.644
O66 O 0.776 0.768 0.138
O67 O 0.808 0.321 0.878
O68 O 0.808 0.821 0.373
O69 O 0.810 0.320 0.369
O70 O 0.813 0.823 0.881
O71 O 0.818 0.083 0.897
O72 O 0.819 0.579 0.394
O73 O 0.822 0.075 0.397
O74 O 0.829 0.580 0.904
O75 O 0.856 0.097 0.249
O76 O 0.857 0.598 0.245
O77 O 0.865 0.601 0.748
O78 O 0.867 0.114 0.755
O79 O 0.994 0.804 0.526
O80 O 0.998 0.291 0.022
```

***

# 5
The following is a PBE+U calculation of a relaxed structure of NiPtO3, from Materials Project.

ΔE_f: 0.199 eV/atom
Energy: -4.219 eV/atom

```
data_NiPtO3
_chemical_formula_sum 'Ni1 Pt1 O3'
_cell_length_a 3.954
_cell_length_b 3.954
_cell_length_c 3.954
_cell_angle_alpha 90.00
_cell_angle_beta 90.00
_cell_angle_gamma 90.00
_symmetry_space_group_name_H-M 'P m -3 m'
_symmetry_Int_Tables_number 221
_symmetry_space_group_name_Hall '-P 4 2 3'
loop_
_atom_site_label
_atom_site_type_symbol
_atom_site_fract_x
_atom_site_fract_y
_atom_site_fract_z
Ni1 Ni 0.000 0.000 0.000
Pt1 Pt 0.500 0.500 0.500
O1 O 0.000 0.500 0.500
```

***

# 6
The following is a PBE+U calculation of a relaxed structure of Mo17O47, from Materials Project.

ΔE_f: -1.938 eV/atom
Energy: -7.097 eV/atom

```
data_Mo17O47
_chemical_formula_sum 'Mo34 O94'
_cell_length_a 20.365
_cell_length_b 22.313
_cell_length_c 3.929
_cell_angle_alpha 90.00
_cell_angle_beta 90.00
_cell_angle_gamma 90.00
_symmetry_space_group_name_H-M 'P b a 2'
_symmetry_Int_Tables_number 32
loop_
_symmetry_equiv_pos_as_xyz
'x,y,z'
'-x,-y,z'
'-x+1/2,y+1/2,z'
'x+1/2,-y+1/2,z'
loop_
_atom_site_label
_atom_site_type_symbol
_atom_site_fract_x
_atom_site_fract_y
_atom_site_fract_z
Mo1 Mo 0.000 0.000 0.006
Mo2 Mo 0.063 0.461 0.000
Mo3 Mo 0.067 0.287 0.009
Mo4 Mo 0.097 0.631 0.074
Mo5 Mo 0.119 0.129 0.120
Mo6 Mo 0.134 0.886 0.129
Mo7 Mo 0.197 0.379 0.129
Mo8 Mo 0.240 0.740 0.011
Mo9 Mo 0.241 0.523 0.007
O1 O 0.000 0.000 0.559
O2 O 0.017 0.688 0.059
O3 O 0.037 0.550 0.059
O4 O 0.046 0.073 0.067
O5 O 0.062 0.461 0.549
O6 O 0.067 0.206 0.070
O7 O 0.073 0.290 0.558
O8 O 0.081 0.827 0.089
O9 O 0.082 0.955 0.070
O10 O 0.096 0.376 0.070
O11 O 0.096 0.631 0.565
O12 O 0.121 0.132 0.579
O13 O 0.145 0.891 0.582
O14 O 0.160 0.465 0.071
O15 O 0.160 0.705 0.060
O16 O 0.170 0.294 0.064
O17 O 0.180 0.058 0.068
O18 O 0.181 0.583 0.058
O19 O 0.195 0.381 0.576
O20 O 0.204 0.178 0.063
O21 O 0.219 0.830 0.076
O22 O 0.228 0.937 0.070
O23 O 0.240 0.518 0.556
O24 O 0.242 0.747 0.560
```

***

# 7
The following is a PBE+U calculation of a relaxed structure of Cs2HfW3O12, from Materials Project.

ΔE_f: -2.599 eV/atom
Energy: -7.513 eV/atom

```
data_Cs2HfW3O12
_chemical_formula_sum 'Cs6 Hf3 W9 O36'
_cell_length_a 7.4384
_cell_length_b 7.4384
_cell_length_c 18.4895
_cell_angle_alpha 90.00
_cell_angle_beta 90.00
_cell_angle_gamma 120.00
_symmetry_space_group_name_H-M 'R -3 m'
_symmetry_Int_Tables_number 166
_symmetry_space_group_name_Hall '-R 3 2"'
loop_
_atom_site_label
_atom_site_type_symbol
_atom_site_fract_x
_atom_site_fract_y
_atom_site_fract_z
Cs1 Cs 0.0000 0.0000 0.1274
Hf1 Hf 0.0000 0.0000 0.5000
W1 W 0.0000 0.5000 0.0000
O1 O 0.0736 0.5368 0.1001
O2 O 0.0864 0.5432 0.3518
```